(1)
The following is a PBE-GGA calculation of an optimized crystal structure of MgAg4O6, from the Materials Project.

a b c (Å): 5.279 5.279 5.279
angles (deg): 90.00 90.00 90.00
Element x y z (fractional)
Mg1 0.000 0.000 0.000
Ag1 0.281 0.281 0.281
Ag2 0.281 0.719 0.719
Ag3 0.719 0.281 0.719
Ag4 0.719 0.719 0.281
O1 0.000 0.000 0.500
O2 0.000 0.500 0.000
O3 0.000 0.500 0.500
O4 0.500 0.000 0.000
O5 0.500 0.000 0.500
O6 0.500 0.500 0.000

Calculated values
* raw total energy: -3.750 eV/atom
* volume: 147 Å³/f.u.
* energy relative to the lowest polymorph listed for this composition: 0.589 eV per atom
* ΔE_f: -24.1 kJ per mole of atoms
* magnetic moment: 0.08 Bohr magnetons per cell
* symmetry: P-43m, No. 215

(2)
The following is a PBE-GGA calculation of an optimized crystal structure of Zn3Co2C12N12, from the Materials Project.

a b c (Å): 7.308 7.308 10.331
angles (deg): 90.00 90.00 90.00
Element x y z (fractional)
Zn1 0.000 0.000 0.000
Zn2 0.000 0.500 0.254
Zn3 0.500 0.000 0.746
Co1 0.000 0.500 0.749
Co2 0.500 0.000 0.251
C1 0.000 0.500 0.568
C2 0.000 0.500 0.930
C3 0.181 0.319 0.750
C4 0.181 0.681 0.750
C5 0.319 0.181 0.250
C6 0.319 0.819 0.250
C7 0.500 0.000 0.070
C8 0.500 0.000 0.432
C9 0.681 0.181 0.250
C10 0.681 0.819 0.250
C11 0.819 0.319 0.750
C12 0.819 0.681 0.750
N1 0.000 0.500 0.044
N2 0.000 0.500 0.455
N3 0.204 0.292 0.247
N4 0.204 0.708 0.247
N5 0.292 0.204 0.753
N6 0.292 0.796 0.753
N7 0.500 0.000 0.545
N8 0.500 0.000 0.956
N9 0.708 0.204 0.753
N10 0.708 0.796 0.753
N11 0.796 0.292 0.247
N12 0.796 0.708 0.247

Calculated values
* raw total energy: -7.453 eV/atom
* volume: 552 Å³/f.u.
* energy relative to the lowest polymorph listed for this composition: 0.257 eV per atom
* ΔE_f: 27.6 kJ per mole of atoms
* symmetry: P-4m2, No. 115

(3)
The following is a PBE-GGA calculation of an optimized crystal structure of CaLaCd2, from the Materials Project.

a b c (Å): 5.512 5.512 5.512
angles (deg): 60.00 60.00 60.00
Element x y z (fractional)
Ca1 0.000 0.000 0.000
La1 0.500 0.500 0.500
Cd1 0.250 0.250 0.250
Cd2 0.750 0.750 0.750

Calculated values
* raw total energy: -2.577 eV/atom
* volume: 118 Å³/f.u.
* ΔE_f: -36.6 kJ per mole of atoms
* symmetry: Fm-3m, No. 225

(4)
The following is a PBE-GGA calculation of an optimized crystal structure of Ca2SiO4, from the Materials Project.

a b c (Å): 8.736 8.736 10.052
angles (deg): 122.73 122.73 36.57
Element x y z (fractional)
Ca1 0.000 0.500 0.500
Ca2 0.194 0.626 0.343
Ca3 0.242 0.758 0.750
Ca4 0.374 0.806 0.157
Ca5 0.500 0.000 0.000
Ca6 0.626 0.194 0.843
Ca7 0.758 0.242 0.250
Ca8 0.806 0.374 0.657
Si1 0.102 0.601 0.926
Si2 0.399 0.898 0.574
Si3 0.601 0.102 0.426
Si4 0.898 0.399 0.074
O1 0.058 0.420 0.853
O2 0.088 0.132 0.486
O3 0.132 0.088 0.986
O4 0.157 0.592 0.784
O5 0.381 0.469 0.062
O6 0.408 0.843 0.716
O7 0.420 0.058 0.353
O8 0.469 0.381 0.562
O9 0.531 0.619 0.438
O10 0.580 0.942 0.647
O11 0.592 0.157 0.284
O12 0.619 0.531 0.938
O13 0.843 0.408 0.216
O14 0.868 0.912 0.014
O15 0.912 0.868 0.514
O16 0.942 0.580 0.147

Calculated values
* raw total energy: -7.154 eV/atom
* volume: 94 Å³/f.u.
* energy relative to the lowest polymorph listed for this composition: 0.105 eV per atom
* ΔE_f: -325.3 kJ per mole of atoms
* magnetic moment: 0.00 Bohr magnetons per cell
* symmetry: C2/c, No. 15

(5)
The following is a PBE-GGA calculation of an optimized crystal structure of BrCl, from the Materials Project.

a b c (Å): 4.747 4.747 7.821
angles (deg): 90.00 90.00 63.99
Element x y z (fractional)
Br1 0.006 0.994 0.500
Br2 0.994 0.006 0.000
Cl1 0.283 0.717 0.253
Cl2 0.717 0.283 0.753

Calculated values
* raw total energy: -1.795 eV/atom
* volume: 79 Å³/f.u.
* energy relative to the lowest polymorph listed for this composition: 0.000 eV per atom
* ΔE_f: -34.7 kJ per mole of atoms
* magnetic moment: 0.01 Bohr magnetons per cell
* symmetry: Cmc2_1, No. 36

(6)
The following is a PBE-GGA calculation of an optimized crystal structure of RbGa3S5, from the Materials Project.

a b c (Å): 7.261 12.921 10.523
angles (deg): 90.00 103.43 90.00
Element x y z (fractional)
Rb1 0.166 0.113 0.402
Rb2 0.166 0.387 0.902
Rb3 0.834 0.613 0.098
Rb4 0.834 0.887 0.598
Ga1 0.202 0.080 0.901
Ga2 0.202 0.420 0.401
Ga3 0.289 0.663 0.624
Ga4 0.289 0.837 0.124
Ga5 0.440 0.603 0.304
Ga6 0.440 0.897 0.804
Ga7 0.560 0.103 0.196
Ga8 0.560 0.397 0.696
Ga9 0.711 0.163 0.876
Ga10 0.711 0.337 0.376
Ga11 0.798 0.580 0.599
Ga12 0.798 0.920 0.099
S1 0.065 0.635 0.740
S2 0.065 0.865 0.240
S3 0.190 0.602 0.410
S4 0.190 0.898 0.910
S5 0.281 0.168 0.089
S6 0.281 0.332 0.589
S7 0.345 0.665 0.098
S8 0.345 0.835 0.598
S9 0.429 0.079 0.769
S10 0.429 0.421 0.269
S11 0.571 0.579 0.731
S12 0.571 0.921 0.231
S13 0.655 0.165 0.402
S14 0.655 0.335 0.902
S15 0.719 0.668 0.411
S16 0.719 0.832 0.911
S17 0.810 0.102 0.090
S18 0.810 0.398 0.590
S19 0.935 0.135 0.760
S20 0.935 0.365 0.260

Calculated values
* raw total energy: -4.281 eV/atom
* volume: 240 Å³/f.u.
* ΔE_f: -110.4 kJ per mole of atoms
* symmetry: P2_1/c, No. 14

(7)
The following is a PBE-GGA calculation of an optimized crystal structure of SrN2Cl4, from the Materials Project.

a b c (Å): 5.952 5.952 5.952
angles (deg): 109.39 109.39 109.64
Element x y z (fractional)
Sr1 0.000 0.000 0.000
N1 0.000 0.500 0.500
N2 0.500 0.000 0.500
Cl1 0.000 0.000 0.500
Cl2 0.000 0.500 0.000
Cl3 0.500 0.000 0.000
Cl4 0.500 0.500 0.500

Calculated values
* raw total energy: -2.997 eV/atom
* volume: 162 Å³/f.u.
* ΔE_f: 32.0 kJ per mole of atoms
* magnetic moment: 4.00 Bohr magnetons per cell
* symmetry: I4/mmm, No. 139

(8)
The following is a PBE-GGA calculation of an optimized crystal structure of Na2HfZrSiP2O12, from the Materials Project.

a b c (Å): 9.006 9.008 23.192
angles (deg): 89.96 89.98 60.24
Element x y z (fractional)
Na1 0.000 0.000 0.000
Na2 0.001 0.630 0.752
Na3 0.013 0.988 0.500
Na4 0.037 0.658 0.084
Na5 0.335 0.689 0.918
Na6 0.336 0.330 0.167
Na7 0.342 0.323 0.667
Na8 0.642 0.988 0.252
Na9 0.671 0.025 0.584
Na10 0.673 0.661 0.334
Na11 0.674 0.661 0.833
Na12 0.702 0.322 0.418
Hf1 0.000 0.999 0.648
Hf2 0.011 0.988 0.147
Hf3 0.340 0.325 0.019
Hf4 0.341 0.317 0.814
Hf5 0.663 0.657 0.687
Hf6 0.995 0.992 0.852
Zr1 0.004 0.982 0.352
Zr2 0.329 0.329 0.314
Zr3 0.338 0.327 0.520
Zr4 0.669 0.650 0.186
Zr5 0.671 0.662 0.482
Zr6 0.674 0.659 0.981
Si1 0.005 0.696 0.248
Si2 0.045 0.615 0.915
Si3 0.376 0.658 0.082
Si4 0.628 0.030 0.416
Si5 0.672 0.365 0.583
Si6 0.708 0.993 0.749
P1 0.004 0.281 0.750
P2 0.044 0.325 0.417
P3 0.293 0.703 0.751
P4 0.294 0.991 0.250
P5 0.335 0.035 0.917
P6 0.337 0.617 0.417
P7 0.378 0.947 0.584
P8 0.628 0.322 0.916
P9 0.668 0.953 0.085
P10 0.715 0.280 0.250
P11 0.962 0.657 0.586
P12 0.963 0.364 0.083
O1 0.021 0.167 0.410
O2 0.027 0.790 0.191
O3 0.032 0.170 0.697
O4 0.039 0.801 0.910
O5 0.129 0.353 0.364
O6 0.137 0.501 0.858
O7 0.138 0.498 0.578
O8 0.140 0.350 0.075
O9 0.155 0.301 0.471
O10 0.161 0.308 0.757
O11 0.166 0.527 0.973
O12 0.174 0.509 0.255
O13 0.178 0.012 0.909
O14 0.178 0.788 0.698
O15 0.180 0.796 0.411
O16 0.182 0.018 0.196
O17 0.183 0.824 0.089
O18 0.201 0.964 0.592
O19 0.210 0.966 0.303
O20 0.212 0.811 0.806
O21 0.305 0.525 0.758
O22 0.308 0.533 0.471
O23 0.312 0.145 0.970
O24 0.320 0.149 0.255
O25 0.348 0.491 0.077
O26 0.363 0.121 0.863
O27 0.365 0.124 0.577
O28 0.367 0.502 0.364
O29 0.462 0.686 0.024
O30 0.463 0.838 0.530
O31 0.472 0.682 0.744
O32 0.476 0.834 0.243
O33 0.493 0.852 0.922
O34 0.496 0.629 0.138
O35 0.496 0.863 0.637
O36 0.503 0.626 0.423
O37 0.505 0.337 0.579
O38 0.509 0.128 0.076
O39 0.511 0.352 0.864
O40 0.516 0.121 0.358
O41 0.521 0.161 0.756
O42 0.538 0.291 0.256
O43 0.541 0.152 0.473
O44 0.543 0.294 0.970
O45 0.637 0.489 0.923
O46 0.644 0.869 0.139
O47 0.645 0.486 0.638
O48 0.651 0.841 0.422
O49 0.694 0.459 0.244
O50 0.699 0.449 0.524
O51 0.703 0.814 0.743
O52 0.704 0.833 0.032
O53 0.802 0.016 0.692
O54 0.802 0.165 0.198
O55 0.807 0.166 0.909
O56 0.813 0.026 0.411
O57 0.821 0.201 0.306
O58 0.826 0.691 0.243
O59 0.832 0.967 0.091
O60 0.837 0.958 0.804
O61 0.838 0.171 0.590
O62 0.845 0.692 0.532
O63 0.847 0.464 0.743
O64 0.851 0.451 0.030
O65 0.855 0.638 0.922
O66 0.862 0.482 0.423
O67 0.875 0.635 0.640
O68 0.882 0.481 0.136
O69 0.970 0.822 0.304
O70 0.977 0.821 0.592
O71 0.979 0.188 0.091
O72 0.979 0.195 0.804

Calculated values
* raw total energy: -7.842 eV/atom
* volume: 272 Å³/f.u.
* ΔE_f: -307.0 kJ per mole of atoms
* magnetic moment: 0.00 Bohr magnetons per cell
* symmetry: P1, No. 1

(9)
The following is a PBE-GGA calculation of an optimized crystal structure of Sc2TlHg, from the Materials Project.

a b c (Å): 5.052 5.052 5.052
angles (deg): 60.00 60.00 60.00
Element x y z (fractional)
Sc1 0.250 0.250 0.250
Sc2 0.750 0.750 0.750
Tl1 0.000 0.000 0.000
Hg1 0.500 0.500 0.500

Calculated values
* raw total energy: -4.183 eV/atom
* volume: 91 Å³/f.u.
* ΔE_f: -33.8 kJ per mole of atoms
* symmetry: Fm-3m, No. 225

(10)
The following is a PBE-GGA calculation of an optimized crystal structure of MgAlCrS4, from the Materials Project.

a b c (Å): 7.235 7.235 7.235
angles (deg): 120.24 119.77 89.99
Element x y z (fractional)
Mg1 0.376 0.126 0.250
Mg2 0.624 0.874 0.750
Al1 0.000 0.000 0.500
Al2 0.000 0.500 0.000
Cr1 0.000 0.500 0.500
Cr2 0.500 0.500 0.000
S1 0.213 0.737 0.475
S2 0.237 0.263 0.526
S3 0.237 0.711 0.974
S4 0.238 0.263 0.975
S5 0.762 0.737 0.025
S6 0.763 0.289 0.026
S7 0.763 0.737 0.474
S8 0.787 0.263 0.525

Calculated values
* raw total energy: -5.547 eV/atom
* volume: 134 Å³/f.u.
* ΔE_f: -128.1 kJ per mole of atoms
* magnetic moment: 6.00 Bohr magnetons per cell
* symmetry: Imma, No. 74

(11)
The following is a PBE-GGA calculation of an optimized crystal structure of Tb4Ga12Pd, from the Materials Project.

a b c (Å): 7.503 7.503 7.503
angles (deg): 109.47 109.47 109.47
Element x y z (fractional)
Tb1 0.000 0.000 0.500
Tb2 0.000 0.500 0.000
Tb3 0.500 0.000 0.000
Tb4 0.500 0.500 0.500
Ga1 0.000 0.296 0.296
Ga2 0.000 0.704 0.704
Ga3 0.250 0.500 0.750
Ga4 0.250 0.750 0.500
Ga5 0.296 0.000 0.296
Ga6 0.296 0.296 0.000
Ga7 0.500 0.250 0.750
Ga8 0.500 0.750 0.250
Ga9 0.704 0.000 0.704
Ga10 0.704 0.704 0.000
Ga11 0.750 0.250 0.500
Ga12 0.750 0.500 0.250
Pd1 0.000 0.000 0.000

Calculated values
* raw total energy: -4.153 eV/atom
* volume: 325 Å³/f.u.
* ΔE_f: -59.8 kJ per mole of atoms
* symmetry: Im-3m, No. 229

(12)
The following is a PBE-GGA calculation of an optimized crystal structure of SbPt3, from the Materials Project.

a b c (Å): 4.607 4.607 4.607
angles (deg): 60.00 60.00 60.00
Element x y z (fractional)
Sb1 0.000 0.000 0.000
Pt1 0.250 0.250 0.250
Pt2 0.500 0.500 0.500
Pt3 0.750 0.750 0.750

Calculated values
* raw total energy: -5.687 eV/atom
* volume: 69 Å³/f.u.
* ΔE_f: -9.8 kJ per mole of atoms
* magnetic moment: 0.01 Bohr magnetons per cell
* symmetry: Fm-3m, No. 225